42
Lattice="-11.4548 0.0000 0.0000 0.0000 11.4548 0.0000 5.7274 -5.7274 -8.3996" Properties=species:S:1:pos:R:3 comment="Tm11Sn10, optimized geometry, DFT r²SCAN" total_energy_ev_per_atom=-30.969 space_group="I4/mmm, No. 139" crystal_system=tetragonal pbc="T T T"
Tm -5.7274 -2.8425 -5.2287
Tm 3.7902 0.0000 -6.6923
Tm -2.8426 5.7274 -5.2287
Tm 0.0000 2.8848 -3.1708
Tm -5.7274 9.5176 -1.7073
Tm -3.7902 0.0000 -6.6923
Tm -1.9372 5.7274 -1.7073
Tm 0.0000 3.7902 -6.6923
Tm 0.0000 -3.7902 -6.6923
Tm 2.8426 5.7274 -5.2287
Tm 0.0000 0.0000 -5.6261
Tm -1.9956 1.9957 0.0000
Tm -1.9956 9.4591 0.0000
Tm -9.4592 1.9957 0.0000
Tm 0.0000 8.5700 -3.1708
Tm -9.5176 5.7274 -1.7073
Tm -9.4592 9.4591 0.0000
Tm -5.7274 5.7274 -2.7735
Tm -2.8848 0.0000 -3.1708
Tm -5.7274 2.8425 -5.2287
Tm -8.5700 0.0000 -3.1708
Tm -5.7274 1.9372 -1.7073
Sn -4.0600 0.0000 0.0000
Sn 0.0000 0.0000 -1.9411
Sn -2.3527 -2.3527 -5.4438
Sn 0.0000 5.7274 -4.1998
Sn 0.0000 7.3948 0.0000
Sn 1.4817 -1.4817 -8.3995
Sn -2.3527 2.3527 -5.4439
Sn -8.0801 8.0801 -2.9557
Sn -7.3948 0.0000 0.0000
Sn 0.0000 4.0600 0.0000
Sn 2.3527 2.3527 -5.4438
Sn -1.4817 -1.4817 -8.3995
Sn 1.4817 1.4817 -8.3995
Sn -5.7274 5.7274 -6.4584
Sn -1.4817 1.4817 -8.3995
Sn -8.0801 3.3747 -2.9557
Sn -3.3747 8.0801 -2.9557
Sn -5.7274 0.0000 -4.1998
Sn -3.3747 3.3747 -2.9557
Sn 2.3527 -2.3527 -5.4438

6
Lattice="1.7076 3.1580 -2.3498 1.9428 -2.9448 -2.5458 -7.5224 1.3769 -3.6159" Properties=species:S:1:pos:R:3 comment="TmSn2, optimized geometry, DFT r²SCAN" total_energy_ev_per_atom=-28.781 space_group="Cmcm, No. 63" crystal_system=orthorhombic pbc="T T T"
Tm -0.0290 2.3494 -2.7397
Tm -3.8430 -0.7593 -5.7718
Sn -1.0028 0.8487 -5.4643
Sn 0.5832 -0.6948 -2.4686
Sn -4.4552 2.2849 -6.0429
Sn -2.8692 0.7414 -3.0473

12
Lattice="2.2108 -3.8291 0.0000 2.2108 3.8291 0.0000 0.0000 0.0000 15.8275" Properties=species:S:1:pos:R:3 comment="TmZnSn, optimized geometry, DFT r²SCAN" total_energy_ev_per_atom=-23.541 space_group="P6_3/mmc, No. 194" crystal_system=hexagonal pbc="T T T"
Zn 2.2108 -1.2764 10.4955
Zn 2.2108 1.2764 5.3321
Zn 2.2108 -1.2764 13.2458
Zn 2.2108 1.2764 2.5817
Tm 0.0000 0.0000 11.8707
Tm 0.0000 0.0000 7.9138
Tm 0.0000 0.0000 0.0000
Tm 0.0000 0.0000 3.9569
Sn 2.2108 1.2764 9.7003
Sn 2.2108 1.2764 14.0410
Sn 2.2108 -1.2764 6.1273
Sn 2.2108 -1.2764 1.7865

4
Lattice="-2.8848 3.6478 -0.4961 -2.9982 -1.9623 3.0058 2.1362 2.1720 3.5487" Properties=species:S:1:pos:R:3 comment="USn3, optimized geometry, DFT r²SCAN" total_energy_ev_per_atom=-38.778 space_group="Pm-3m, No. 221" crystal_system=cubic pbc="T T T"
U 0.0000 0.0000 0.0000
Sn -2.9415 0.8428 1.2548
Sn -0.3743 2.9099 1.5263
Sn -0.4310 0.1049 3.2773

What did the first record say?
42
Lattice="-11.4548 0.0000 0.0000 0.0000 11.4548 0.0000 5.7274 -5.7274 -8.3996" Properties=species:S:1:pos:R:3 comment="Tm11Sn10, optimized geometry, DFT r²SCAN" total_energy_ev_per_atom=-30.969 space_group="I4/mmm, No. 139" crystal_system=tetragonal pbc="T T T"
Tm -5.7274 -2.8425 -5.2287
Tm 3.7902 0.0000 -6.6923
Tm -2.8426 5.7274 -5.2287
Tm 0.0000 2.8848 -3.1708
Tm -5.7274 9.5176 -1.7073
Tm -3.7902 0.0000 -6.6923
Tm -1.9372 5.7274 -1.7073
Tm 0.0000 3.7902 -6.6923
Tm 0.0000 -3.7902 -6.6923
Tm 2.8426 5.7274 -5.2287
Tm 0.0000 0.0000 -5.6261
Tm -1.9956 1.9957 0.0000
Tm -1.9956 9.4591 0.0000
Tm -9.4592 1.9957 0.0000
Tm 0.0000 8.5700 -3.1708
Tm -9.5176 5.7274 -1.7073
Tm -9.4592 9.4591 0.0000
Tm -5.7274 5.7274 -2.7735
Tm -2.8848 0.0000 -3.1708
Tm -5.7274 2.8425 -5.2287
Tm -8.5700 0.0000 -3.1708
Tm -5.7274 1.9372 -1.7073
Sn -4.0600 0.0000 0.0000
Sn 0.0000 0.0000 -1.9411
Sn -2.3527 -2.3527 -5.4438
Sn 0.0000 5.7274 -4.1998
Sn 0.0000 7.3948 0.0000
Sn 1.4817 -1.4817 -8.3995
Sn -2.3527 2.3527 -5.4439
Sn -8.0801 8.0801 -2.9557
Sn -7.3948 0.0000 0.0000
Sn 0.0000 4.0600 0.0000
Sn 2.3527 2.3527 -5.4438
Sn -1.4817 -1.4817 -8.3995
Sn 1.4817 1.4817 -8.3995
Sn -5.7274 5.7274 -6.4584
Sn -1.4817 1.4817 -8.3995
Sn -8.0801 3.3747 -2.9557
Sn -3.3747 8.0801 -2.9557
Sn -5.7274 0.0000 -4.1998
Sn -3.3747 3.3747 -2.9557
Sn 2.3527 -2.3527 -5.4438